Below is a relaxed structure of Na7Al2Zn2P5SO24, with properties calculated at the PBE level.

a b c (Å): 8.840 8.846 21.569
angles (deg): 89.89 89.81 60.04
Atoms (fractional coordinates):
Na (0.000, 0.000, 0.000)
Na (0.001, 0.378, 0.499)
Na (0.025, 0.664, 0.414)
Na (0.050, 0.665, 0.917)
Na (0.058, 0.307, 0.169)
Na (0.073, 0.966, 0.332)
Na (0.075, 0.340, 0.832)
Na (0.347, 0.692, 0.832)
Na (0.349, 0.332, 0.329)
Na (0.361, 0.999, 0.748)
Na (0.383, 0.617, 0.503)
Na (0.384, 0.377, 0.000)
Na (0.391, 0.982, 0.250)
Na (0.397, 0.318, 0.667)
Na (0.700, 0.018, 0.164)
Na (0.700, 0.659, 0.663)
Na (0.702, 0.341, 0.082)
Na (0.726, 0.963, 0.836)
Na (0.730, 0.324, 0.583)
Na (0.762, 0.997, 0.497)
Na (0.763, 0.617, 0.998)
Al (0.372, 0.997, 0.600)
Al (0.376, 0.000, 0.100)
Al (0.383, 0.998, 0.897)
Al (0.385, 0.001, 0.398)
Al (0.720, 0.318, 0.236)
Al (0.720, 0.336, 0.737)
Zn (0.046, 0.663, 0.262)
Zn (0.059, 0.653, 0.568)
Zn (0.063, 0.656, 0.762)
Zn (0.067, 0.665, 0.068)
Zn (0.719, 0.330, 0.934)
Zn (0.726, 0.324, 0.435)
P (0.011, 0.040, 0.836)
P (0.013, 0.329, 0.335)
P (0.049, 0.352, 0.667)
P (0.052, 0.969, 0.168)
P (0.100, 0.283, 0.000)
P (0.102, 0.993, 0.497)
P (0.359, 0.664, 0.668)
P (0.361, 0.357, 0.167)
P (0.382, 0.280, 0.501)
P (0.382, 0.719, 0.999)
P (0.427, 0.324, 0.835)
P (0.663, 0.719, 0.501)
P (0.666, 0.994, 0.001)
P (0.712, 0.031, 0.335)
P (0.712, 0.631, 0.834)
S (0.433, 0.623, 0.334)
S (0.740, 0.661, 0.166)
S (0.747, 0.972, 0.667)
O (0.004, 0.474, 0.610)
O (0.005, 0.895, 0.111)
O (0.037, 0.855, 0.827)
O (0.047, 0.481, 0.327)
O (0.081, 0.467, 0.001)
O (0.081, 0.859, 0.227)
O (0.083, 0.829, 0.501)
O (0.091, 0.431, 0.724)
O (0.192, 0.179, 0.059)
O (0.195, 0.027, 0.838)
O (0.197, 0.009, 0.554)
O (0.197, 0.153, 0.336)
O (0.206, 0.977, 0.437)
O (0.208, 0.191, 0.941)
O (0.212, 0.995, 0.159)
O (0.216, 0.171, 0.657)
O (0.216, 0.462, 0.502)
O (0.216, 0.701, 0.001)
O (0.238, 0.437, 0.223)
O (0.241, 0.483, 0.828)
O (0.250, 0.696, 0.726)
O (0.255, 0.647, 0.329)
O (0.281, 0.623, 0.610)
O (0.284, 0.463, 0.107)
O (0.362, 0.193, 0.441)
O (0.366, 0.821, 0.939)
O (0.386, 0.167, 0.161)
O (0.388, 0.823, 0.659)
O (0.394, 0.816, 0.056)
O (0.399, 0.170, 0.559)
O (0.414, 0.154, 0.837)
O (0.416, 0.800, 0.335)
O (0.501, 0.357, 0.894)
O (0.503, 0.528, 0.393)
O (0.540, 0.023, 0.339)
O (0.541, 0.813, 0.838)
O (0.544, 0.526, 0.281)
O (0.545, 0.495, 0.676)
O (0.546, 0.300, 0.500)
O (0.546, 0.302, 0.778)
O (0.546, 0.334, 0.177)
O (0.546, 0.535, 0.000)
O (0.559, 0.006, 0.060)
O (0.562, 0.810, 0.561)
O (0.563, 0.818, 0.159)
O (0.565, 0.995, 0.663)
O (0.567, 0.831, 0.444)
O (0.575, 0.979, 0.942)
O (0.680, 0.536, 0.501)
O (0.682, 0.160, 0.002)
O (0.685, 0.155, 0.279)
O (0.685, 0.536, 0.778)
O (0.723, 0.151, 0.674)
O (0.725, 0.503, 0.177)
O (0.741, 0.110, 0.395)
O (0.750, 0.522, 0.894)
O (0.819, 0.701, 0.219)
O (0.827, 0.861, 0.722)
O (0.848, 0.700, 0.502)
O (0.848, 0.894, 0.610)
O (0.849, 0.624, 0.110)
O (0.849, 0.829, 0.002)
O (0.870, 0.659, 0.825)
O (0.875, 0.851, 0.327)
O (0.884, 0.336, 0.678)
O (0.887, 0.158, 0.177)
O (0.909, 0.168, 0.783)
O (0.910, 0.105, 0.897)
O (0.913, 0.306, 0.279)
O (0.915, 0.354, 0.396)
O (0.917, 0.300, 0.000)
O (0.918, 0.158, 0.499)

***

Below is a relaxed structure of NaHCO3, with properties calculated at the PBE level.

Results
- energy above the lowest structure with this stoichiometry (meV/atom) = 561

a b c (Å): 3.574 8.256 9.065
angles (deg): 90.00 96.55 90.00
Atoms (fractional coordinates):
Na (0.003, 0.123, 0.218)
Na (0.003, 0.377, 0.718)
Na (0.997, 0.623, 0.282)
Na (0.997, 0.877, 0.782)
H (0.452, 0.630, 0.588)
H (0.452, 0.870, 0.088)
H (0.548, 0.130, 0.912)
H (0.548, 0.370, 0.412)
C (0.404, 0.586, 0.992)
C (0.404, 0.914, 0.492)
C (0.596, 0.086, 0.508)
C (0.596, 0.414, 0.008)
O (0.199, 0.617, 0.873)
O (0.199, 0.883, 0.373)
O (0.469, 0.507, 0.579)
O (0.469, 0.993, 0.079)
O (0.472, 0.680, 0.103)
O (0.472, 0.820, 0.603)
O (0.528, 0.180, 0.397)
O (0.528, 0.320, 0.897)
O (0.531, 0.007, 0.921)
O (0.531, 0.493, 0.421)
O (0.801, 0.117, 0.627)
O (0.801, 0.383, 0.127)

***

Below is a relaxed structure of AlReGe, with properties calculated at the PBE level.

a b c (Å): 4.705 4.705 4.705
angles (deg): 139.34 139.34 58.85
Atoms (fractional coordinates):
Al (0.000, 0.000, 0.000)
Re (0.333, 0.333, 0.000)
Ge (0.673, 0.673, 0.000)

***

Below is a relaxed structure of B5Ir3W2, with properties calculated at the PBE level.

a b c (Å): 8.380 8.380 8.380
angles (deg): 160.09 38.62 147.25
Atoms (fractional coordinates):
B (0.000, 0.000, 0.000)
B (0.133, 0.854, 0.279)
B (0.175, 0.454, 0.722)
B (0.575, 0.854, 0.721)
B (0.732, 0.454, 0.278)
Ir (0.059, 0.654, 0.405)
Ir (0.249, 0.654, 0.595)
Ir (0.655, 0.155, 0.500)
W (0.503, 0.654, 0.848)
W (0.806, 0.654, 0.152)

***

Below is a relaxed structure of Ti3O4, with properties calculated at the PBE level.

Results
- energy above the lowest structure with this stoichiometry (meV/atom) = 31

a b c (Å): 5.047 5.047 3.026
angles (deg): 90.00 90.00 108.40
Atoms (fractional coordinates):
Ti (0.000, 0.000, 0.000)
Ti (0.000, 0.500, 0.500)
Ti (0.500, 0.000, 0.500)
O (0.235, 0.235, 0.500)
O (0.257, 0.743, 0.000)
O (0.743, 0.257, 0.000)
O (0.765, 0.765, 0.500)

***

Below is a relaxed structure of Mg14FeC, with properties calculated at the PBE level.

Results
- energy above the lowest structure with this stoichiometry (meV/atom) = 0

a b c (Å): 8.744 6.262 6.262
angles (deg): 75.40 90.00 90.00
Atoms (fractional coordinates):
Mg (0.000, 0.000, 0.000)
Mg (0.000, 0.458, 0.458)
Mg (0.000, 0.527, 0.934)
Mg (0.000, 0.934, 0.527)
Mg (0.235, 0.216, 0.216)
Mg (0.287, 0.830, 0.830)
Mg (0.322, 0.339, 0.723)
Mg (0.322, 0.723, 0.339)
Mg (0.500, 0.084, 0.484)
Mg (0.500, 0.484, 0.084)
Mg (0.678, 0.339, 0.723)
Mg (0.678, 0.723, 0.339)
Mg (0.713, 0.830, 0.830)
Mg (0.765, 0.216, 0.216)
Fe (0.500, 0.034, 0.034)
C (0.500, 0.452, 0.452)

***

Below is a relaxed structure of Cr5B3, with properties calculated at the PBE level.

a b c (Å): 6.293 6.293 6.293
angles (deg): 128.78 128.78 75.37
Atoms (fractional coordinates):
Cr (0.000, 0.000, 0.000)
Cr (0.025, 0.525, 0.842)
Cr (0.183, 0.025, 0.500)
Cr (0.317, 0.817, 0.842)
Cr (0.475, 0.317, 0.500)
Cr (0.500, 0.500, 0.000)
Cr (0.525, 0.683, 0.500)
Cr (0.683, 0.183, 0.158)
Cr (0.817, 0.975, 0.500)
Cr (0.975, 0.475, 0.158)
B (0.118, 0.382, 0.500)
B (0.250, 0.250, 0.000)
B (0.382, 0.882, 0.264)
B (0.618, 0.118, 0.736)
B (0.750, 0.750, 0.000)
B (0.882, 0.618, 0.500)

***

Below is a relaxed structure of K3UH6C5SNO13, with properties calculated at the PBE level.

a b c (Å): 10.920 12.266 14.327
angles (deg): 90.00 113.93 90.00
Atoms (fractional coordinates):
K (0.019, 0.077, 0.156)
K (0.019, 0.423, 0.656)
K (0.364, 0.099, 0.083)
K (0.364, 0.401, 0.583)
K (0.372, 0.108, 0.396)
K (0.372, 0.392, 0.896)
K (0.628, 0.608, 0.104)
K (0.628, 0.892, 0.604)
K (0.636, 0.599, 0.417)
K (0.636, 0.901, 0.917)
K (0.981, 0.577, 0.344)
K (0.981, 0.923, 0.844)
U (0.271, 0.606, 0.186)
U (0.271, 0.894, 0.686)
U (0.729, 0.106, 0.314)
U (0.729, 0.394, 0.814)
H (0.059, 0.649, 0.560)
H (0.059, 0.851, 0.060)
H (0.065, 0.147, 0.405)
H (0.065, 0.353, 0.905)
H (0.080, 0.181, 0.948)
H (0.080, 0.319, 0.448)
H (0.177, 0.161, 0.515)
H (0.177, 0.339, 0.015)
H (0.271, 0.648, 0.534)
H (0.271, 0.852, 0.034)
H (0.310, 0.636, 0.441)
H (0.310, 0.864, 0.941)
H (0.690, 0.136, 0.059)
H (0.690, 0.364, 0.559)
H (0.729, 0.148, 0.966)
H (0.729, 0.352, 0.466)
H (0.823, 0.661, 0.985)
H (0.823, 0.839, 0.485)
H (0.920, 0.681, 0.552)
H (0.920, 0.819, 0.052)
H (0.935, 0.647, 0.095)
H (0.935, 0.853, 0.595)
H (0.941, 0.149, 0.940)
H (0.941, 0.351, 0.440)
C (0.097, 0.632, 0.917)
C (0.097, 0.868, 0.417)
C (0.290, 0.160, 0.719)
C (0.290, 0.340, 0.219)
C (0.291, 0.626, 0.725)
C (0.291, 0.874, 0.225)
C (0.356, 0.111, 0.830)
C (0.356, 0.389, 0.330)
C (0.373, 0.675, 0.833)
C (0.373, 0.825, 0.333)
C (0.627, 0.175, 0.667)
C (0.627, 0.325, 0.167)
C (0.644, 0.611, 0.670)
C (0.644, 0.889, 0.170)
C (0.709, 0.126, 0.775)
C (0.709, 0.374, 0.275)
C (0.710, 0.660, 0.781)
C (0.710, 0.840, 0.281)
C (0.903, 0.132, 0.583)
C (0.903, 0.368, 0.083)
S (0.035, 0.654, 0.796)
S (0.035, 0.846, 0.296)
S (0.965, 0.154, 0.704)
S (0.965, 0.346, 0.204)
N (0.143, 0.616, 0.006)
N (0.143, 0.884, 0.506)
N (0.857, 0.116, 0.494)
N (0.857, 0.384, 0.994)
O (0.032, 0.119, 0.963)
O (0.032, 0.381, 0.463)
O (0.112, 0.606, 0.202)
O (0.112, 0.894, 0.702)
O (0.146, 0.189, 0.444)
O (0.146, 0.311, 0.944)
O (0.249, 0.699, 0.653)
O (0.249, 0.801, 0.153)
O (0.252, 0.086, 0.648)
O (0.252, 0.414, 0.148)
O (0.256, 0.603, 0.474)
O (0.256, 0.897, 0.974)
O (0.273, 0.526, 0.714)
O (0.273, 0.974, 0.214)
O (0.279, 0.240, 0.206)
O (0.279, 0.260, 0.706)
O (0.376, 0.719, 0.334)
O (0.376, 0.781, 0.834)
O (0.379, 0.008, 0.831)
O (0.379, 0.492, 0.331)
O (0.384, 0.170, 0.906)
O (0.384, 0.330, 0.406)
O (0.428, 0.610, 0.171)
O (0.428, 0.890, 0.671)
O (0.430, 0.614, 0.907)
O (0.430, 0.886, 0.407)
O (0.570, 0.114, 0.593)
O (0.570, 0.386, 0.093)
O (0.572, 0.110, 0.329)
O (0.572, 0.390, 0.829)
O (0.616, 0.670, 0.594)
O (0.616, 0.830, 0.094)
O (0.621, 0.508, 0.669)
O (0.621, 0.992, 0.169)
O (0.624, 0.219, 0.166)
O (0.624, 0.281, 0.666)
O (0.721, 0.740, 0.294)
O (0.721, 0.760, 0.794)
O (0.727, 0.026, 0.786)
O (0.727, 0.474, 0.286)
O (0.744, 0.103, 0.026)
O (0.744, 0.397, 0.526)
O (0.748, 0.586, 0.852)
O (0.748, 0.914, 0.352)
O (0.751, 0.199, 0.847)
O (0.751, 0.301, 0.347)
O (0.854, 0.689, 0.056)
O (0.854, 0.811, 0.556)
O (0.888, 0.106, 0.298)
O (0.888, 0.394, 0.798)
O (0.968, 0.619, 0.537)
O (0.968, 0.881, 0.037)

***

Below is a relaxed structure of Cs2CuSbCl6, with properties calculated at the PBE level.

a b c (Å): 7.432 7.432 7.432
angles (deg): 60.00 60.00 60.00
Atoms (fractional coordinates):
Cs (0.250, 0.250, 0.250)
Cs (0.750, 0.750, 0.750)
Cu (0.000, 0.000, 0.000)
Sb (0.500, 0.500, 0.500)
Cl (0.243, 0.243, 0.757)
Cl (0.243, 0.757, 0.243)
Cl (0.243, 0.757, 0.757)
Cl (0.757, 0.243, 0.243)
Cl (0.757, 0.243, 0.757)
Cl (0.757, 0.757, 0.243)

***

Below is a relaxed structure of CeSe2, with properties calculated at the PBE level.

a b c (Å): 8.583 8.583 8.583
angles (deg): 60.00 60.00 60.00
Atoms (fractional coordinates):
Ce (0.000, 0.000, 0.000)
Ce (0.000, 0.000, 0.500)
Ce (0.000, 0.500, 0.000)
Ce (0.500, 0.000, 0.000)
Se (0.211, 0.763, 0.763)
Se (0.237, 0.237, 0.237)
Se (0.237, 0.237, 0.789)
Se (0.237, 0.789, 0.237)
Se (0.763, 0.211, 0.763)
Se (0.763, 0.763, 0.211)
Se (0.763, 0.763, 0.763)
Se (0.789, 0.237, 0.237)

***

Below is a relaxed structure of HoFeCu, with properties calculated at the PBE level.

a b c (Å): 5.200 5.200 5.200
angles (deg): 121.89 121.26 87.29
Atoms (fractional coordinates):
Ho (0.372, 0.122, 0.250)
Ho (0.628, 0.878, 0.750)
Fe (0.000, 0.000, 0.500)
Fe (0.000, 0.500, 0.000)
Cu (0.000, 0.500, 0.500)
Cu (0.500, 0.500, 0.000)

***

Below is a relaxed structure of PbO, with properties calculated at the PBE level.

a b c (Å): 4.062 4.062 5.302
angles (deg): 90.00 90.00 90.00
Atoms (fractional coordinates):
Pb (0.250, 0.250, 0.224)
Pb (0.750, 0.750, 0.776)
O (0.250, 0.750, 0.000)
O (0.750, 0.250, 0.000)

***

Values for ρ, g/cm3, ordered as above
3.1 2.1 10.8 15.3 4.7 2.0 6.6 2.6 3.8 4.4 9.7 8.5
Values for energy of formation, meV per atom, ordered as above
-2587 -1293 -248 -367 -3133 225 -416 -1711 -1613 -1844 -72 -1468